A geometry-optimized K3V2S4O18 structure. Source: the Materials Project, functional GGA+U.

Output
The value obtained for the formation energy from the elements is -2.1555 eV/atom. As for the total magnetization: 0.100 Bohr magnetons per cell. Its energy relative to the lowest polymorph listed for this composition is 0.00 kJ/mol of atoms. For the total energy, the calculation gives -678.16 eV for the cell shown.

abc: 18.6924 9.1804 10.0979
angles: 89.97 90.00 90.00
Closest atoms and distances in Å follow each position.
Element x y z (fractional)
K  0.1184  0.9168  0.8583  3 O 2.59-2.86
K  0.6184  0.0832  0.1417  3 O 2.59-2.86
K  0.1145  0.9194  0.3807  3 O 2.58-2.85
K  0.6145  0.0806  0.6193  3 O 2.58-2.85
K  0.4963  0.7577  0.8800  7 O 2.81-3.06
K  0.9963  0.2423  0.1200  7 O 2.81-3.06
K  0.5004  0.7427  0.3692  7 O 2.78-3.03
K  0.0004  0.2573  0.6308  7 O 2.78-3.03
K  0.8814  0.5848  0.8894  4 O 2.57-2.86
K  0.3814  0.4152  0.1106  4 O 2.57-2.86
K  0.8795  0.5785  0.3701  3 O 2.60-2.87
K  0.3795  0.4215  0.6299  3 O 2.60-2.87
V  0.3161  0.0449  0.8781  1 O 1.62
V  0.8161  0.9551  0.1219  1 O 1.62
V  0.6789  0.4572  0.3714  1 O 1.62
V  0.1789  0.5428  0.6286  1 O 1.62
V  0.3136  0.0330  0.3772  1 O 1.60
V  0.8136  0.9670  0.6228  1 O 1.60
V  0.6844  0.4680  0.8697  1 O 1.60
V  0.1844  0.5320  0.1303  1 O 1.60
S  0.2879  0.6317  0.3753  4 O 1.46-1.54
S  0.7879  0.3683  0.6247  4 O 1.46-1.54
S  0.2870  0.6344  0.8768  4 O 1.46-1.54
S  0.7870  0.3656  0.1232  4 O 1.46-1.54
S  0.2093  0.1335  0.1269  4 O 1.46-1.54
S  0.7093  0.8665  0.8731  4 O 1.46-1.54
S  0.2085  0.1348  0.6220  4 O 1.46-1.54
S  0.7085  0.8652  0.3780  4 O 1.46-1.54
S  0.0763  0.4977  0.8880  4 O 1.45-1.55
S  0.5763  0.5023  0.1120  4 O 1.45-1.55
S  0.0758  0.4988  0.3759  4 O 1.45-1.55
S  0.5758  0.5012  0.6241  4 O 1.45-1.55
S  0.4193  0.9990  0.6261  4 O 1.45-1.55
S  0.9193  0.0010  0.3739  4 O 1.45-1.55
S  0.4216  0.9985  0.1353  4 O 1.45-1.55
S  0.9216  0.0015  0.8647  4 O 1.45-1.55
O  0.3460  0.2107  0.8807  1 V 1.62
O  0.8460  0.7893  0.1193  1 V 1.62
O  0.3445  0.1960  0.3784  1 V 1.60
O  0.8445  0.8040  0.6216  1 V 1.60
O  0.8729  0.0491  0.9752  1 S 1.50
O  0.3729  0.9509  0.0248  1 S 1.50
O  0.8626  0.0518  0.4764  1 S 1.55
O  0.3626  0.9482  0.5236  1 S 1.55
O  0.2450  0.0470  0.7276  1 S 1.50
O  0.7450  0.9530  0.2724  1 S 1.50
O  0.2481  0.0392  0.2307  1 S 1.54
O  0.7481  0.9608  0.7693  1 S 1.54
O  0.3897  0.9476  0.7574  1 S 1.51
O  0.8897  0.0524  0.2426  1 S 1.51
O  0.3847  0.9419  0.2633  1 S 1.55
O  0.8847  0.0581  0.7367  1 S 1.55
O  0.2277  0.0658  0.9956  1 S 1.50
O  0.7277  0.9342  0.0044  1 S 1.50
O  0.2296  0.0622  0.4900  1 S 1.54
O  0.7296  0.9378  0.5100  1 S 1.54
O  0.2621  0.7849  0.8865  1 S 1.46
O  0.7621  0.2151  0.1135  1 S 1.46
O  0.2624  0.7826  0.3747  1 S 1.46
O  0.7624  0.2174  0.6253  1 S 1.46
O  0.1538  0.6951  0.1320  1 V 1.60
O  0.6538  0.3049  0.8680  1 V 1.60
O  0.1490  0.7088  0.6291  1 V 1.62
O  0.6490  0.2912  0.3709  1 V 1.62
O  0.2500  0.5403  0.9831  1 S 1.54
O  0.7500  0.4597  0.0169  1 S 1.54
O  0.2500  0.5434  0.4784  1 S 1.50
O  0.7500  0.4566  0.5216  1 S 1.50
O  0.1332  0.4478  0.2746  1 S 1.55
O  0.6332  0.5522  0.7254  1 S 1.55
O  0.1221  0.4463  0.7745  1 S 1.51
O  0.6221  0.5537  0.2255  1 S 1.51
O  0.1148  0.4404  0.0139  1 S 1.55
O  0.6148  0.5596  0.9861  1 S 1.55
O  0.1047  0.4488  0.5079  1 S 1.51
O  0.6047  0.5512  0.4921  1 S 1.51
O  0.7687  0.4407  0.7579  1 S 1.54
O  0.2687  0.5593  0.2421  1 S 1.54
O  0.7661  0.4333  0.2532  1 S 1.51
O  0.2661  0.5667  0.7468  1 S 1.51
O  0.2359  0.2831  0.1356  1 S 1.46
O  0.7359  0.7169  0.8644  1 S 1.46
O  0.2326  0.2863  0.6233  1 S 1.46
O  0.7326  0.7137  0.3767  1 S 1.46
O  0.3650  0.6118  0.3903  1 S 1.46
O  0.8650  0.3882  0.6097  1 S 1.46
O  0.3639  0.6125  0.8940  1 S 1.46
O  0.8639  0.3875  0.1060  1 S 1.46
O  0.1328  0.1141  0.1496  1 S 1.46
O  0.6328  0.8859  0.8504  1 S 1.46
O  0.1313  0.1129  0.6330  1 S 1.46
O  0.6313  0.8871  0.3670  1 S 1.46
O  0.0077  0.4205  0.8836  1 S 1.47
O  0.5077  0.5795  0.1164  1 S 1.47
O  0.0103  0.4167  0.3488  1 S 1.46
O  0.5103  0.5833  0.6512  1 S 1.46
O  0.0700  0.6549  0.8928  1 S 1.45
O  0.5700  0.3451  0.1072  1 S 1.45
O  0.0672  0.6554  0.3688  1 S 1.45
O  0.5672  0.3446  0.6312  1 S 1.45
O  0.4850  0.9178  0.5993  1 S 1.46
O  0.9850  0.0822  0.4007  1 S 1.46
O  0.4892  0.9182  0.1262  1 S 1.47
O  0.9892  0.0818  0.8738  1 S 1.47
O  0.4275  0.1558  0.6207  1 S 1.45
O  0.9275  0.8442  0.3793  1 S 1.45
O  0.4300  0.1553  0.1415  1 S 1.45
O  0.9300  0.8447  0.8585  1 S 1.45